{"formula": "MgCuBi2O7", "functional": "PBE-GGA", "state": "optimized geometry", "lattice": [[10.1450, 0.0000, 0.0000], [0.0000, 8.4476, 0.0000], [-1.5170, 0.0000, 11.5194]], "species": ["Mg", "Mg", "Mg", "Mg", "Mg", "Mg", "Cu", "Cu", "Cu", "Cu", "Cu", "Cu", "Bi", "Bi", "Bi", "Bi", "Bi", "Bi", "Bi", "Bi", "Bi", "Bi", "Bi", "Bi", "O", "O", "O", "O", "O", "O", "O", "O", "O", "O", "O", "O", "O", "O", "O", "O", "O", "O", "O", "O", "O", "O", "O", "O", "O", "O", "O", "O", "O", "O", "O", "O", "O", "O", "O", "O", "O", "O", "O", "O", "O", "O"], "fractional_positions": [[0.0000, 0.0437, 0.2500], [0.0000, 0.9563, 0.7500], [0.3489, 0.4598, 0.9184], [0.3489, 0.5402, 0.4184], [0.6511, 0.4598, 0.5816], [0.6511, 0.5402, 0.0816], [0.0000, 0.4093, 0.2500], [0.0000, 0.5907, 0.7500], [0.2871, 0.0941, 0.9183], [0.2871, 0.9059, 0.4183], [0.7130, 0.0941, 0.5817], [0.7130, 0.9059, 0.0817], [0.0112, 0.2807, 0.9735], [0.0112, 0.7193, 0.4735], [0.3058, 0.2076, 0.1974], [0.3058, 0.7924, 0.6974], [0.3441, 0.2442, 0.6311], [0.3441, 0.7558, 0.1311], [0.6559, 0.2442, 0.8689], [0.6559, 0.7558, 0.3689], [0.6942, 0.2076, 0.3026], [0.6942, 0.7924, 0.8026], [0.9888, 0.2807, 0.5265], [0.9888, 0.7193, 0.0265], [0.0293, 0.0811, 0.6144], [0.0293, 0.9189, 0.1144], [0.0583, 0.2462, 0.1566], [0.0583, 0.7538, 0.6566], [0.0677, 0.4644, 0.8720], [0.0677, 0.5356, 0.3720], [0.1863, 0.3589, 0.5349], [0.1863, 0.6411, 0.0349], [0.2152, 0.0588, 0.3102], [0.2152, 0.9412, 0.8102], [0.2583, 0.2740, 0.0092], [0.2583, 0.7260, 0.5092], [0.3056, 0.4278, 0.2671], [0.3056, 0.5722, 0.7671], [0.3298, 0.0090, 0.5629], [0.3298, 0.9910, 0.0629], [0.3510, 0.2361, 0.8147], [0.3510, 0.7639, 0.3147], [0.4511, 0.4043, 0.5494], [0.4511, 0.5957, 0.0494], [0.5000, 0.1219, 0.2500], [0.5000, 0.8781, 0.7500], [0.5489, 0.4043, 0.9506], [0.5489, 0.5957, 0.4506], [0.6490, 0.2361, 0.6853], [0.6490, 0.7639, 0.1853], [0.6702, 0.0090, 0.9371], [0.6702, 0.9910, 0.4371], [0.6944, 0.4278, 0.2329], [0.6944, 0.5722, 0.7329], [0.7417, 0.2740, 0.4908], [0.7417, 0.7260, 0.9908], [0.7848, 0.0588, 0.1898], [0.7848, 0.9412, 0.6898], [0.8137, 0.3589, 0.9651], [0.8137, 0.6411, 0.4651], [0.9323, 0.4644, 0.6280], [0.9323, 0.5356, 0.1280], [0.9417, 0.2462, 0.3434], [0.9417, 0.7538, 0.8434], [0.9707, 0.0811, 0.8856], [0.9707, 0.9189, 0.3856]], "formation_enthalpy_0k_ev_per_fu": -15.2, "dft_energy_ev_per_atom": -5.318}

{"formula": "SrCdI4O8", "functional": "PBE-GGA", "state": "optimized geometry", "lattice": [[8.6224, 0.0000, 0.0000], [0.0000, 20.7846, 0.0000], [0.0000, 0.0000, 15.4122]], "species": ["Sr", "Sr", "Sr", "Sr", "Sr", "Sr", "Sr", "Sr", "Cd", "Cd", "Cd", "Cd", "Cd", "Cd", "Cd", "Cd", "I", "I", "I", "I", "I", "I", "I", "I", "I", "I", "I", "I", "I", "I", "I", "I", "I", "I", "I", "I", "I", "I", "I", "I", "I", "I", "I", "I", "I", "I", "I", "I", "O", "O", "O", "O", "O", "O", "O", "O", "O", "O", "O", "O", "O", "O", "O", "O", "O", "O", "O", "O", "O", "O", "O", "O", "O", "O", "O", "O", "O", "O", "O", "O", "O", "O", "O", "O", "O", "O", "O", "O", "O", "O", "O", "O", "O", "O", "O", "O", "O", "O", "O", "O", "O", "O", "O", "O", "O", "O", "O", "O", "O", "O", "O", "O"], "fractional_positions": [[0.2342, 0.0503, 0.0196], [0.2342, 0.4497, 0.0196], [0.2658, 0.5503, 0.5196], [0.2658, 0.9497, 0.5196], [0.7342, 0.0503, 0.4804], [0.7342, 0.4497, 0.4804], [0.7658, 0.5503, 0.9804], [0.7658, 0.9497, 0.9804], [0.1522, 0.2500, 0.7158], [0.1562, 0.7500, 0.7825], [0.3438, 0.2500, 0.2825], [0.3478, 0.7500, 0.2158], [0.6522, 0.2500, 0.7842], [0.6562, 0.7500, 0.7175], [0.8438, 0.2500, 0.2175], [0.8478, 0.7500, 0.2842], [0.0048, 0.6007, 0.6669], [0.0048, 0.8993, 0.6669], [0.0102, 0.5898, 0.1523], [0.0102, 0.9102, 0.1523], [0.0613, 0.2500, 0.4192], [0.0774, 0.7500, 0.0771], [0.1328, 0.2500, 0.1413], [0.1394, 0.7500, 0.3550], [0.3606, 0.2500, 0.8550], [0.3672, 0.7500, 0.6413], [0.4226, 0.2500, 0.5771], [0.4387, 0.7500, 0.9192], [0.4898, 0.0898, 0.6523], [0.4898, 0.4102, 0.6523], [0.4952, 0.1007, 0.1669], [0.4952, 0.3993, 0.1669], [0.5048, 0.6007, 0.8331], [0.5048, 0.8993, 0.8331], [0.5102, 0.5898, 0.3477], [0.5102, 0.9102, 0.3477], [0.5613, 0.2500, 0.0808], [0.5774, 0.7500, 0.4229], [0.6328, 0.2500, 0.3587], [0.6394, 0.7500, 0.1450], [0.8606, 0.2500, 0.6450], [0.8672, 0.7500, 0.8587], [0.9226, 0.2500, 0.9229], [0.9387, 0.7500, 0.5808], [0.9898, 0.0898, 0.8477], [0.9898, 0.4102, 0.8477], [0.9952, 0.1007, 0.3331], [0.9952, 0.3993, 0.3331], [0.0074, 0.5064, 0.4564], [0.0074, 0.9936, 0.4564], [0.0281, 0.5137, 0.0912], [0.0281, 0.9863, 0.0912], [0.0597, 0.1362, 0.9437], [0.0597, 0.3638, 0.9437], [0.0717, 0.6424, 0.5635], [0.0717, 0.8576, 0.5635], [0.1760, 0.0788, 0.7958], [0.1760, 0.4212, 0.7958], [0.1955, 0.1844, 0.3681], [0.1955, 0.3156, 0.3681], [0.1969, 0.5614, 0.6857], [0.1969, 0.9386, 0.6857], [0.2119, 0.6848, 0.1245], [0.2119, 0.8152, 0.1245], [0.2881, 0.1848, 0.6245], [0.2881, 0.3152, 0.6245], [0.3031, 0.0614, 0.1857], [0.3031, 0.4386, 0.1857], [0.3045, 0.6844, 0.8681], [0.3045, 0.8156, 0.8681], [0.3240, 0.5788, 0.2958], [0.3240, 0.9212, 0.2958], [0.4283, 0.1424, 0.0635], [0.4283, 0.3576, 0.0635], [0.4403, 0.6362, 0.4437], [0.4403, 0.8638, 0.4437], [0.4719, 0.0137, 0.5912], [0.4719, 0.4863, 0.5912], [0.4926, 0.0064, 0.9564], [0.4926, 0.4936, 0.9564], [0.5074, 0.5064, 0.0436], [0.5074, 0.9936, 0.0436], [0.5281, 0.5137, 0.4088], [0.5281, 0.9863, 0.4088], [0.5597, 0.1362, 0.5563], [0.5597, 0.3638, 0.5563], [0.5717, 0.6424, 0.9365], [0.5717, 0.8576, 0.9365], [0.6760, 0.0788, 0.7042], [0.6760, 0.4212, 0.7042], [0.6955, 0.1844, 0.1319], [0.6955, 0.3156, 0.1319], [0.6969, 0.5614, 0.8143], [0.6969, 0.9386, 0.8143], [0.7119, 0.6848, 0.3755], [0.7119, 0.8152, 0.3755], [0.7881, 0.1848, 0.8755], [0.7881, 0.3152, 0.8755], [0.8031, 0.0614, 0.3143], [0.8031, 0.4386, 0.3143], [0.8045, 0.6844, 0.6319], [0.8045, 0.8156, 0.6319], [0.8240, 0.5788, 0.2042], [0.8240, 0.9212, 0.2042], [0.9283, 0.1424, 0.4365], [0.9283, 0.3576, 0.4365], [0.9403, 0.6362, 0.0563], [0.9403, 0.8638, 0.0563], [0.9719, 0.0137, 0.9088], [0.9719, 0.4863, 0.9088], [0.9926, 0.0064, 0.5436], [0.9926, 0.4936, 0.5436]], "formation_enthalpy_0k_ev_per_fu": -10.1, "dft_energy_ev_per_atom": -4.076}

{"formula": "CuO", "functional": "PBE-GGA", "state": "optimized geometry", "lattice": [[2.9331, 0.0000, 0.0000], [0.0000, 2.9331, 0.0000], [0.0000, 0.0000, 5.1340]], "species": ["Cu", "Cu", "O", "O"], "fractional_positions": [[0.0000, 0.5000, 0.0000], [0.5000, 0.0000, 0.5000], [0.0000, 0.0000, 0.2500], [0.0000, 0.0000, 0.7500]], "formation_enthalpy_0k_ev_per_fu": -1.9, "dft_energy_ev_per_atom": -5.123}